(1)
The following is a PBE calculation of a relaxed BaSe crystal, from the Materials Project database.

```
data_BaSe
_cell_length_a 4.015
_cell_length_b 4.015
_cell_length_c 4.015
_cell_angle_alpha 90.00
_cell_angle_beta 90.00
_cell_angle_gamma 90.00
_symmetry_space_group_name_H-M 'P m -3 m'
_symmetry_Int_Tables_number 221
_symmetry_space_group_name_Hall '-P 4 2 3'
loop_
_atom_site_label
_atom_site_type_symbol
_atom_site_fract_x
_atom_site_fract_y
_atom_site_fract_z
_atom_site_occupancy
Ba1 Ba 0.000 0.000 0.000 1
Se1 Se 0.500 0.500 0.500 1
```

## Properties
uncorrected energy	-9.108	eV for the cell shown

---

(2)
The following is a PBE calculation of a relaxed BaSm2Se4 crystal, from the Materials Project database.

```
data_BaSm2Se4
_cell_length_a 13.017
_cell_length_b 4.295
_cell_length_c 15.441
_cell_angle_alpha 90.00
_cell_angle_beta 90.00
_cell_angle_gamma 90.00
_symmetry_space_group_name_H-M 'P n m a'
_symmetry_Int_Tables_number 62
loop_
_symmetry_equiv_pos_as_xyz
'x,y,z'
'-x,-y,-z'
'-x+1/2,-y,z+1/2'
'x+1/2,y,-z+1/2'
'x+1/2,-y+1/2,-z+1/2'
'-x+1/2,y+1/2,z+1/2'
'-x,y+1/2,-z'
'x,-y+1/2,z'
loop_
_atom_site_label
_atom_site_type_symbol
_atom_site_fract_x
_atom_site_fract_y
_atom_site_fract_z
_atom_site_occupancy
Ba1 Ba 0.243 0.250 0.163 1
Sm1 Sm 0.068 0.250 0.391 1
Sm2 Sm 0.080 0.250 0.900 1
Se1 Se 0.024 0.750 0.784 1
Se2 Se 0.083 0.250 0.578 1
Se3 Se 0.129 0.750 0.026 1
Se4 Se 0.207 0.750 0.329 1
```

## Properties
uncorrected energy	-156.424	eV for the cell shown

---

(3)
The following is a PBE calculation of a relaxed Ba2SnSe4 crystal, from the Materials Project database.

```
data_Ba2SnSe4
_cell_length_a 8.700
_cell_length_b 9.449
_cell_length_c 12.600
_cell_angle_alpha 90.00
_cell_angle_beta 114.04
_cell_angle_gamma 90.00
_symmetry_space_group_name_H-M 'P 1 21/c 1'
_symmetry_Int_Tables_number 14
loop_
_symmetry_equiv_pos_as_xyz
'x,y,z'
'-x,-y,-z'
'-x,y+1/2,-z+1/2'
'x,-y+1/2,z+1/2'
loop_
_atom_site_label
_atom_site_type_symbol
_atom_site_fract_x
_atom_site_fract_y
_atom_site_fract_z
_atom_site_occupancy
Ba1 Ba 0.034 0.152 0.341 1
Ba2 Ba 0.408 0.116 0.157 1
Sn1 Sn 0.305 0.687 0.993 1
Se1 Se 0.077 0.627 0.458 1
Se2 Se 0.260 0.617 0.786 1
Se3 Se 0.262 0.021 0.610 1
Se4 Se 0.409 0.189 0.893 1
```

## Properties
uncorrected energy	-125.507	eV for the cell shown

---

(4)
The following is a PBE calculation of a relaxed Ba2SrZr3Se9 crystal, from the Materials Project database.

```
data_Ba2SrZr3Se9
_cell_length_a 15.019
_cell_length_b 4.055
_cell_length_c 27.352
_cell_angle_alpha 90.00
_cell_angle_beta 90.06
_cell_angle_gamma 90.00
_symmetry_space_group_name_H-M 'P 1 m 1'
_symmetry_Int_Tables_number 6
loop_
_symmetry_equiv_pos_as_xyz
'x,y,z'
'x,-y,z'
loop_
_atom_site_label
_atom_site_type_symbol
_atom_site_fract_x
_atom_site_fract_y
_atom_site_fract_z
_atom_site_occupancy
Ba1 Ba 0.000 0.000 0.000 1
Ba2 Ba 0.000 0.000 0.333 1
Ba3 Ba 0.000 0.000 0.667 1
Ba4 Ba 0.152 0.000 0.167 1
Ba5 Ba 0.152 0.000 0.500 1
Ba6 Ba 0.152 0.000 0.833 1
Ba7 Ba 0.649 0.500 0.045 1
Ba8 Ba 0.649 0.500 0.378 1
Sr1 Sr 0.502 0.500 0.210 1
Sr2 Sr 0.502 0.500 0.544 1
Sr3 Sr 0.503 0.500 0.876 1
Sr4 Sr 0.648 0.500 0.710 1
Zr1 Zr 0.268 0.500 0.300 1
Zr2 Zr 0.269 0.500 0.634 1
Zr3 Zr 0.269 0.500 0.967 1
Zr4 Zr 0.385 0.000 0.078 1
Zr5 Zr 0.385 0.000 0.411 1
Zr6 Zr 0.387 0.000 0.744 1
Zr7 Zr 0.764 0.000 0.243 1
Zr8 Zr 0.764 0.000 0.578 1
Zr9 Zr 0.764 0.000 0.910 1
Zr10 Zr 0.882 0.500 0.800 1
Zr11 Zr 0.884 0.500 0.135 1
Zr12 Zr 0.884 0.500 0.468 1
Se1 Se 0.039 0.500 0.760 1
Se2 Se 0.040 0.500 0.093 1
Se3 Se 0.040 0.500 0.427 1
Se4 Se 0.112 0.500 0.260 1
Se5 Se 0.112 0.500 0.593 1
Se6 Se 0.112 0.500 0.927 1
Se7 Se 0.220 0.000 0.030 1
Se8 Se 0.220 0.000 0.364 1
Se9 Se 0.221 0.000 0.697 1
Se10 Se 0.321 0.500 0.134 1
Se11 Se 0.321 0.500 0.468 1
Se12 Se 0.323 0.500 0.801 1
Se13 Se 0.337 0.000 0.244 1
Se14 Se 0.337 0.000 0.578 1
Se15 Se 0.337 0.000 0.911 1
Se16 Se 0.432 0.500 0.015 1
Se17 Se 0.432 0.500 0.348 1
Se18 Se 0.434 0.500 0.681 1
Se19 Se 0.538 0.000 0.456 1
Se20 Se 0.539 0.000 0.123 1
Se21 Se 0.544 0.000 0.785 1
Se22 Se 0.605 0.000 0.948 1
Se23 Se 0.606 0.000 0.281 1
Se24 Se 0.607 0.000 0.619 1
Se25 Se 0.717 0.500 0.514 1
Se26 Se 0.718 0.500 0.180 1
Se27 Se 0.718 0.500 0.847 1
Se28 Se 0.813 0.000 0.744 1
Se29 Se 0.819 0.000 0.078 1
Se30 Se 0.819 0.000 0.412 1
Se31 Se 0.828 0.500 0.634 1
Se32 Se 0.830 0.500 0.300 1
Se33 Se 0.830 0.500 0.967 1
Se34 Se 0.930 0.000 0.864 1
Se35 Se 0.931 0.000 0.198 1
Se36 Se 0.931 0.000 0.531 1
```

## Properties
uncorrected energy	-347.817	eV for the cell shown

---

(5)
The following is a PBE calculation of a relaxed BaSr3Zr4Se12 crystal, from the Materials Project database.

```
data_BaSr3Zr4Se12
_cell_length_a 9.042
_cell_length_b 4.021
_cell_length_c 14.826
_cell_angle_alpha 90.00
_cell_angle_beta 90.02
_cell_angle_gamma 90.00
_symmetry_space_group_name_H-M 'P 1 m 1'
_symmetry_Int_Tables_number 6
loop_
_symmetry_equiv_pos_as_xyz
'x,y,z'
'x,-y,z'
loop_
_atom_site_label
_atom_site_type_symbol
_atom_site_fract_x
_atom_site_fract_y
_atom_site_fract_z
_atom_site_occupancy
Ba1 Ba 0.000 0.000 0.000 1
Sr1 Sr 0.130 0.500 0.645 1
Sr2 Sr 0.504 0.000 0.147 1
Sr3 Sr 0.631 0.500 0.501 1
Zr1 Zr 0.238 0.000 0.382 1
Zr2 Zr 0.401 0.500 0.881 1
Zr3 Zr 0.734 0.000 0.763 1
Zr4 Zr 0.898 0.500 0.268 1
Se1 Se 0.046 0.500 0.432 1
Se2 Se 0.089 0.000 0.217 1
Se3 Se 0.232 0.000 0.811 1
Se4 Se 0.289 0.500 0.043 1
Se5 Se 0.359 0.000 0.542 1
Se6 Se 0.406 0.500 0.313 1
Se7 Se 0.544 0.500 0.714 1
Se8 Se 0.593 0.000 0.930 1
Se9 Se 0.729 0.000 0.337 1
Se10 Se 0.767 0.500 0.111 1
Se11 Se 0.859 0.000 0.605 1
Se12 Se 0.906 0.500 0.828 1
```

## Properties
uncorrected energy	-115.224	eV for the cell shown

---

(6)
The following is a PBE calculation of a relaxed Ba3Ta2Se9 crystal, from the Materials Project database.

```
data_Ba3Ta2Se9
_cell_length_a 7.462
_cell_length_b 12.579
_cell_length_c 17.858
_cell_angle_alpha 90.00
_cell_angle_beta 97.57
_cell_angle_gamma 90.00
_symmetry_space_group_name_H-M 'P 1 21/c 1'
_symmetry_Int_Tables_number 14
loop_
_symmetry_equiv_pos_as_xyz
'x,y,z'
'-x,-y,-z'
'-x,y+1/2,-z+1/2'
'x,-y+1/2,z+1/2'
loop_
_atom_site_label
_atom_site_type_symbol
_atom_site_fract_x
_atom_site_fract_y
_atom_site_fract_z
_atom_site_occupancy
Ba1 Ba 0.237 0.088 0.083 1
Ba2 Ba 0.243 0.069 0.421 1
Ba3 Ba 0.246 0.743 0.747 1
Ta1 Ta 0.218 0.057 0.850 1
Ta2 Ta 0.277 0.066 0.654 1
Se1 Se 0.000 0.025 0.251 1
Se2 Se 0.002 0.651 0.582 1
Se3 Se 0.014 0.191 0.618 1
Se4 Se 0.199 0.585 0.071 1
Se5 Se 0.253 0.227 0.758 1
Se6 Se 0.315 0.582 0.439 1
Se7 Se 0.464 0.205 0.880 1
Se8 Se 0.488 0.517 0.260 1
Se9 Se 0.495 0.156 0.585 1
```

## Properties
uncorrected energy	-315.103	eV for the cell shown